(1)
The following is a DFT calculation (PBE) of a relaxed structure of Li2PtO6.

Cell: 5.3732 5.3732 3.8507 Å, 90.00 90.00 120.00°
Last column: nearest neighbours and their distance in Å.
Atoms (fractional coordinates):
O1 0.2991 0.0000 0.2764  1 Pt 1.93
Pt1 0.0000 0.0000 0.0000  6 O 1.93
O2 0.7009 0.0000 0.7236  1 Pt 1.93
Li1 0.3333 0.6667 0.0000  6 O 2.17
O3 0.0000 0.2991 0.2764  1 Pt 1.93
Li2 0.6667 0.3333 0.0000  6 O 2.17
O4 0.0000 0.7009 0.7236  1 Pt 1.93
O5 0.7009 0.7009 0.2764  1 Pt 1.93
O6 0.2991 0.2991 0.7236  1 Pt 1.93

## Properties
energy above the most stable polymorph in this dataset: 0.025 eV/atom
ΔE_f: -0.76 eV/atom
total magnetic moment: 3.218 μB per formula unit
volume: 10.70 Å³/atom

=====

(2)
The following is a DFT calculation (PBE) of a relaxed structure of Lu2CdHg.

Cell: 5.1795 5.1795 5.1795 Å, 60.00 60.00 60.00°
Last column: nearest neighbours and their distance in Å.
Atoms (fractional coordinates):
Hg1 0.0000 0.0000 0.0000  8 Lu 3.17
Lu1 0.7500 0.7500 0.7500  4 Cd 3.17, 4 Hg 3.17
Lu2 0.2500 0.2500 0.2500  4 Cd 3.17, 4 Hg 3.17
Cd1 0.5000 0.5000 0.5000  8 Lu 3.17

## Properties
ΔE_f: -0.38 eV/atom
volume: 24.56 Å³/atom

=====

(3)
The following is a DFT calculation (PBE) of a relaxed structure of Na4Ga2S5.

Cell: 6.1785 8.0483 20.1129 Å, 88.63 90.00 90.00°
Last column: nearest neighbours and their distance in Å.
Atoms (fractional coordinates):
Na1 0.9751 0.6534 0.7834  4 S 2.79-3.04
Ga1 0.5866 0.6540 0.4634  4 S 2.28-2.34
Na2 0.0414 0.4020 0.3974  4 S 2.77-3.04
Na3 0.0003 0.1116 0.7997  4 S 2.75-3.07
S1 0.5227 0.0910 0.8276  1 Ga 2.26
Ga2 0.0866 0.3460 0.0366  4 S 2.28-2.34
S2 0.0637 0.2580 0.5299  2 Ga 2.28-2.35
S3 0.9294 0.1353 0.0976  2 Ga 2.29-2.37
Ga3 0.4326 0.8334 0.8657  4 S 2.24-2.37
Na4 0.5249 0.6534 0.2834  4 S 2.79-3.04
Na5 0.9586 0.5980 0.6026  4 S 2.77-3.04
Na6 0.9997 0.8884 0.2003  4 S 2.75-3.07
Na7 0.2562 0.9238 0.0430  6 S 2.83-3.10
S4 0.4294 0.8647 0.4024  2 Ga 2.29-2.37
S5 0.9773 0.0910 0.3276  1 Ga 2.26
S6 0.5706 0.1353 0.5976  2 Ga 2.29-2.37
S7 0.4363 0.2580 0.0299  2 Ga 2.28-2.35
S8 0.5237 0.3888 0.4261  2 Ga 2.31-2.34
Na8 0.7562 0.0762 0.4570  6 S 2.83-3.10
S9 0.9763 0.3888 0.9261  2 Ga 2.31-2.34
S10 0.0157 0.6319 0.2927  1 Ga 2.24
Na9 0.4997 0.1116 0.2997  4 S 2.75-3.07
S11 0.4763 0.6112 0.5739  2 Ga 2.31-2.34
S12 0.0227 0.9090 0.6724  1 Ga 2.26
Ga4 0.0674 0.8334 0.3657  4 S 2.24-2.37
S13 0.0237 0.6112 0.0739  2 Ga 2.31-2.34
Ga5 0.5674 0.1666 0.1343  4 S 2.24-2.37
S14 0.5157 0.3681 0.2073  1 Ga 2.24
S15 0.5637 0.7420 0.9701  2 Ga 2.28-2.35
Na10 0.4586 0.4020 0.8974  4 S 2.77-3.04
Na11 0.4751 0.3466 0.7166  4 S 2.79-3.04
Na12 0.0249 0.3466 0.2166  4 S 2.79-3.04
S16 0.0706 0.8647 0.9024  2 Ga 2.29-2.37
Ga6 0.4134 0.3460 0.5366  4 S 2.28-2.34
Na13 0.5003 0.8884 0.7003  4 S 2.75-3.07
Na14 0.7438 0.0762 0.9570  6 S 2.83-3.10
S17 0.4773 0.9090 0.1724  1 Ga 2.26
Na15 0.2438 0.9238 0.5430  6 S 2.83-3.10
S18 0.9363 0.7420 0.4701  2 Ga 2.28-2.35
Ga7 0.9134 0.6540 0.9634  4 S 2.28-2.34
S19 0.4843 0.6319 0.7927  1 Ga 2.24
S20 0.9843 0.3681 0.7073  1 Ga 2.24
Na16 0.5414 0.5980 0.1026  4 S 2.77-3.04
Ga8 0.9326 0.1666 0.6343  4 S 2.24-2.37

## Properties
ΔE_f: -1.24 eV/atom
volume: 22.72 Å³/atom

=====

(4)
The following is a DFT calculation (PBE) of a relaxed structure of LaAl2Si2.

Cell: 4.2528 4.2528 6.9758 Å, 90.00 90.00 120.00°
Last column: nearest neighbours and their distance in Å.
Atoms (fractional coordinates):
Si1 0.3333 0.6667 0.2729  4 Al 2.53-2.54
La1 0.0000 0.0000 0.0000  6 Si 3.11
Al1 0.3333 0.6667 0.6370  4 Si 2.53-2.54
Si2 0.6667 0.3333 0.7271  4 Al 2.53-2.54
Al2 0.6667 0.3333 0.3630  4 Si 2.53-2.54

## Properties
ΔE_f: -0.39 eV/atom
volume: 21.85 Å³/atom

=====

(5)
The following is a DFT calculation (PBE) of a relaxed structure of TbClO2.

Cell: 3.5802 6.5741 6.5777 Å, 65.68 90.00 90.00°
Last column: nearest neighbours and their distance in Å.
Atoms (fractional coordinates):
O1 0.2500 0.5530 0.9771  2 O 1.90
Tb1 0.7500 0.6625 0.2264  4 O 2.22-2.34
Cl1 0.2500 0.9917 0.2268  3 Tb 2.81-2.91
O2 0.2500 0.4586 0.3849  3 Tb 2.22-2.34
Cl2 0.7500 0.0083 0.7732  3 Tb 2.81-2.91
Tb2 0.2500 0.3375 0.7736  4 O 2.22-2.34
O3 0.7500 0.4470 0.0229  2 O 1.90
O4 0.7500 0.5414 0.6151  3 Tb 2.22-2.34

## Properties
ΔE_f: -2.14 eV/atom
total magnetic moment: 0.003 μB per formula unit
volume: 17.63 Å³/atom

=====

(6)
The following is a DFT calculation (PBE) of a relaxed structure of Na6Sn4Ge5O22.

Cell: 6.5293 10.3956 15.7902 Å, 91.67 96.75 107.63°
Last column: nearest neighbours and their distance in Å.
Atoms (fractional coordinates):
O1 0.9897 0.5651 0.0978  1 Ge 1.77
Ge1 0.4229 0.6602 0.7317  4 O 1.78-1.81
Sn1 0.7262 0.4688 0.8407  6 O 2.06-2.12
O2 0.5955 0.7674 0.3985  1 Ge 1.76
Ge2 0.9507 0.6766 0.0189  4 O 1.77-1.80
O3 0.2382 0.6556 0.2582  1 Ge 1.76
Sn2 0.1525 0.8236 0.8456  6 O 2.05-2.14
Ge3 0.3302 0.6596 0.3677  4 O 1.76-1.79
O4 0.1778 0.6045 0.6559  1 Ge 1.81
Ge4 0.3029 0.1647 0.8664  4 O 1.75-1.81
O5 0.1117 0.2531 0.4604  1 Ge 1.76
O6 0.3221 0.9402 0.5550  1 Ge 1.77
Ge5 0.0935 0.8437 0.4836  4 O 1.76-1.80
O7 0.8222 0.3955 0.3441  1 Ge 1.81
O8 0.8636 0.2927 0.5772  2 Ge 1.79-1.80
O9 0.0709 0.3621 0.2106  3 Sn 2.09-2.13
O10 0.8886 0.1294 0.2851  3 Sn 2.13-2.14
O11 0.5570 0.0664 0.7286  1 Sn 2.05, 1 Na 2.21
Ge6 0.6971 0.8353 0.1336  4 O 1.75-1.81
O12 0.4430 0.9336 0.2714  1 Sn 2.05, 1 Na 2.21
Na1 0.1793 0.0264 0.2642  4 O 2.21-2.47
O13 0.8238 0.8495 0.2407  1 Ge 1.77
O14 0.8937 0.8909 0.8688  1 Sn 2.08
Na2 0.7353 0.5448 0.4471  4 O 2.40-2.62
Na3 0.3798 0.6095 0.9485  5 O 2.28-2.55
O15 0.6813 0.5023 0.5972  1 Ge 1.77
Na4 0.6202 0.3905 0.0515  5 O 2.28-2.55
Na5 0.2647 0.4552 0.5529  4 O 2.40-2.62
Na6 0.8841 0.6416 0.2451  3 O 2.26-2.31
O16 0.0936 0.1793 0.9288  2 Ge 1.80-1.81
O17 0.1779 0.7548 0.9671  1 Ge 1.77
Sn3 0.8475 0.1764 0.1544  6 O 2.05-2.14
O18 0.4588 0.5075 0.7710  1 Ge 1.79
Ge7 0.5771 0.3398 0.2683  4 O 1.78-1.81
Ge8 0.0493 0.3234 0.9811  4 O 1.77-1.80
O19 0.0339 0.9556 0.4087  1 Ge 1.77
O20 0.6779 0.0598 0.4450  1 Ge 1.77
Na7 0.3819 0.1405 0.4543  6 O 2.35-2.62
O21 0.3621 0.2524 0.3253  1 Ge 1.78
O22 0.4045 0.2326 0.6015  1 Ge 1.76
O23 0.1063 0.1091 0.1312  1 Sn 2.08
O24 0.9661 0.0444 0.5913  1 Ge 1.77
Ge9 0.6698 0.3404 0.6323  4 O 1.76-1.79
Sn4 0.9082 0.6780 0.6600  6 O 2.06-2.13
O25 0.3535 0.0138 0.9000  1 Ge 1.78
Sn5 0.2738 0.5312 0.1593  6 O 2.06-2.12
O26 0.2838 0.4144 0.0519  1 Ge 1.77
O27 0.6465 0.9862 0.1000  1 Ge 1.78
Sn6 0.7343 0.9477 0.3416  6 O 2.05-2.13
O28 0.7618 0.3444 0.7418  1 Ge 1.76
O29 0.9291 0.6379 0.7894  3 Sn 2.09-2.13
O30 0.4117 0.7605 0.8236  1 Ge 1.78
O31 0.0103 0.4349 0.9022  1 Ge 1.77
O32 0.8883 0.7469 0.5396  1 Ge 1.76
O33 0.5244 0.3099 0.8954  1 Ge 1.75
O34 0.9064 0.8207 0.0712  2 Ge 1.80-1.81
Na8 0.8207 0.9736 0.7358  4 O 2.21-2.47
O35 0.5883 0.2395 0.1764  1 Ge 1.78
O36 0.3187 0.4977 0.4028  1 Ge 1.77
O37 0.1762 0.1505 0.7593  1 Ge 1.77
Ge10 0.9065 0.1563 0.5164  4 O 1.76-1.80
Na9 0.1159 0.3584 0.7549  3 O 2.26-2.31
Sn7 0.0918 0.3220 0.3400  6 O 2.06-2.13
Sn8 0.2657 0.0523 0.6584  6 O 2.05-2.13
O38 0.8221 0.2452 0.0329  1 Ge 1.77
Na10 0.6181 0.8595 0.5457  6 O 2.35-2.62
O39 0.1114 0.8706 0.7149  3 Sn 2.13-2.14
O40 0.5412 0.4925 0.2290  1 Ge 1.79
O41 0.1364 0.7073 0.4228  2 Ge 1.79-1.80
O42 0.6379 0.7476 0.6747  1 Ge 1.78
O43 0.7162 0.5856 0.9481  1 Ge 1.77
O44 0.4756 0.6901 0.1046  1 Ge 1.75
Na11 0.7286 0.0195 0.9469  5 O 2.36-2.55
Na12 0.2714 0.9805 0.0531  5 O 2.36-2.55

## Properties
ΔE_f: -2.04 eV/atom
total magnetic moment: 2.002 μB per formula unit
volume: 13.68 Å³/atom

=====

(7)
The following is a DFT calculation (PBE) of a relaxed structure of CsLa2Br7.

Cell: 7.7784 14.0394 15.0069 Å, 90.00 90.00 90.00°
Last column: nearest neighbours and their distance in Å.
Atoms (fractional coordinates):
Br1 0.4895 0.0397 0.1333  2 La 3.01-3.04
Br2 0.9895 0.9603 0.8667  2 La 3.01-3.04
Br3 0.0099 0.9227 0.6231  2 La 2.99-3.02
La1 0.7500 0.6570 0.2500  7 Br 2.99-3.04
La2 0.7500 0.9606 0.2624  7 Br 3.01-3.09
Br4 0.4895 0.1937 0.6753  2 La 3.01-3.02
Br5 0.2500 0.1873 0.8899  2 La 3.03-3.09
Br6 0.4901 0.5773 0.1231  2 La 2.99-3.02
Br7 0.5099 0.0773 0.3769  2 La 2.99-3.02
Br8 0.5105 0.8063 0.3247  2 La 3.01-3.02
Br9 0.4895 0.3063 0.1753  2 La 3.01-3.02
Br10 0.5099 0.4227 0.8769  2 La 2.99-3.02
Br11 0.9895 0.5397 0.3667  2 La 3.01-3.04
Br12 0.0105 0.0397 0.1333  2 La 3.01-3.04
Br13 0.9901 0.0773 0.3769  2 La 2.99-3.02
Br14 0.7500 0.8127 0.1101  2 La 3.03-3.09
La3 0.2500 0.4606 0.2376  7 Br 3.01-3.09
La4 0.2500 0.1570 0.2500  7 Br 2.99-3.04
Br15 0.5105 0.6937 0.8247  2 La 3.01-3.02
Br16 0.9895 0.8063 0.3247  2 La 3.01-3.02
Br17 0.2500 0.3127 0.3899  2 La 3.03-3.09
La5 0.2500 0.0394 0.7376  7 Br 3.01-3.09
Br18 0.5105 0.5397 0.3667  2 La 3.01-3.04
Br19 0.0105 0.4603 0.6333  2 La 3.01-3.04
La6 0.7500 0.5394 0.7624  7 Br 3.01-3.09
Br20 0.5105 0.9603 0.8667  2 La 3.01-3.04
La7 0.2500 0.3430 0.7500  7 Br 2.99-3.04
Br21 0.4901 0.9227 0.6231  2 La 2.99-3.02
Cs1 0.2500 0.6946 0.5418  10 Br 3.90-4.14
Br22 0.0105 0.3063 0.1753  2 La 3.01-3.02
Br23 0.7500 0.6873 0.6101  2 La 3.03-3.09
Br24 0.9901 0.4227 0.8769  2 La 2.99-3.02
La8 0.7500 0.8430 0.7500  7 Br 2.99-3.04
Br25 0.0105 0.1937 0.6753  2 La 3.01-3.02
Br26 0.0099 0.5773 0.1231  2 La 2.99-3.02
Cs2 0.7500 0.3054 0.4582  10 Br 3.90-4.14
Br27 0.9895 0.6937 0.8247  2 La 3.01-3.02
Br28 0.4895 0.4603 0.6333  2 La 3.01-3.04
Cs3 0.2500 0.8054 0.0418  10 Br 3.90-4.14
Cs4 0.7500 0.1946 0.9582  10 Br 3.90-4.14

## Properties
ΔE_f: -2.40 eV/atom
volume: 40.97 Å³/atom

=====

> Which of these has the lowest volume?

Li2PtO6